First-principles (PBE-GGA) data for an optimized crystal structure of NdIn6Cu6, as listed in the Materials Project database.

abc: 7.1054 7.1054 7.1054
angles: 133.90 99.13 98.51
Closest atoms and distances in Å follow each position.
Fractional positions:
Nd1 0.0000 0.0000 0.0000  8 In 3.11-3.29
Cu1 0.2307 0.5000 0.7307  4 Cu 2.71, 6 In 2.76-2.95
In1 0.6621 0.0000 0.6621  6 Cu 2.82-2.95, 1 In 2.99, 1 Nd 3.11
In2 0.3446 0.3446 0.0000  6 Cu 2.83-2.87, 3 In 2.88-3.13
Cu2 0.0000 0.0000 0.5000  4 Cu 2.71-2.78, 6 In 2.75-2.83
In3 0.6554 0.6554 0.0000  6 Cu 2.83-2.87, 3 In 2.88-3.13
In4 0.3379 0.0000 0.3379  6 Cu 2.82-2.95, 1 In 2.99, 1 Nd 3.11
Cu3 0.5000 0.5000 0.5000  4 Cu 2.71-2.78, 6 In 2.75-2.83
In5 0.1902 0.6902 0.5000  6 Cu 2.75-2.76
In6 0.8098 0.3098 0.5000  6 Cu 2.75-2.76
Cu4 0.0000 0.5000 0.0000  4 Cu 2.71-2.78, 6 In 2.75-2.83
Cu5 0.7693 0.5000 0.2693  4 Cu 2.71, 6 In 2.76-2.95
Cu6 0.5000 0.0000 0.0000  4 Cu 2.71-2.78, 6 In 2.75-2.83

Computed properties:
As for the electronic total energy: -47.7 eV for the cell shown. As for the energy of formation from the pure elements: -171.5 kJ/mol of formula units. The total magnetization is 0.00 μB per formula unit. The calculation puts the density at 8.5 Mg/m³.


First-principles (PBE-GGA) data for an optimized crystal structure of Rb2PS3, as listed in the Materials Project database.

abc: 12.4654 8.8934 13.8008
angles: 87.53 90.00 90.00
Closest atoms and distances in Å follow each position.
Fractional positions:
S1 0.0641 0.0074 0.8197  1 P 2.04
P1 0.4649 0.4407 0.0691  3 S 2.04-2.05
S2 0.3141 0.5263 0.0864  1 P 2.05
S3 0.8141 0.9737 0.9136  1 P 2.05
P2 0.0351 0.9407 0.0691  3 S 2.04-2.05
S4 0.4359 0.5074 0.8197  1 P 2.04
Rb1 0.1862 0.1223 0.5678  7 S 3.44-3.57
Rb2 0.8138 0.8777 0.4322  7 S 3.44-3.57
Rb3 0.4340 0.8412 0.1746  7 S 3.37-3.72, 1 P 3.75
S5 0.5880 0.0439 0.3284  1 P 2.04
P3 0.5022 0.0696 0.5688  3 S 2.03-2.04
S6 0.5399 0.7844 0.9545  1 P 2.04
Rb4 0.8729 0.2280 0.7088  7 S 3.33-3.62, 1 P 3.54
S7 0.4429 0.2773 0.5335  1 P 2.03
S8 0.1859 0.0263 0.0864  1 P 2.05
Rb5 0.1271 0.7720 0.2912  7 S 3.33-3.62, 1 P 3.54
P4 0.9978 0.5696 0.5688  3 S 2.03-2.04
Rb6 0.6271 0.7280 0.7088  7 S 3.33-3.62, 1 P 3.54
S9 0.9601 0.2844 0.9545  1 P 2.04
S10 0.3386 0.9254 0.3956  1 P 2.04
Rb7 0.5660 0.1588 0.8254  7 S 3.37-3.72, 1 P 3.75
Rb8 0.2271 0.2924 0.9006  6 S 3.39-3.58
P5 0.4978 0.9304 0.4312  3 S 2.03-2.04
S11 0.5641 0.4926 0.1803  1 P 2.04
S12 0.0399 0.7156 0.0455  1 P 2.04
Rb9 0.2729 0.7924 0.9006  6 S 3.39-3.58
S13 0.5571 0.7227 0.4665  1 P 2.03
Rb10 0.7729 0.7076 0.0994  6 S 3.39-3.58
Rb11 0.9340 0.6588 0.8254  7 S 3.37-3.72, 1 P 3.75
S14 0.6614 0.0746 0.6044  1 P 2.04
P6 0.9649 0.0593 0.9309  3 S 2.04-2.05
Rb12 0.0660 0.3412 0.1746  7 S 3.37-3.72, 1 P 3.75
S15 0.4120 0.9561 0.6716  1 P 2.04
Rb13 0.7271 0.2076 0.0994  6 S 3.39-3.58
P7 0.0022 0.4304 0.4312  3 S 2.03-2.04
S16 0.8386 0.5746 0.6044  1 P 2.04
S17 0.9120 0.5439 0.3284  1 P 2.04
S18 0.0571 0.7773 0.5335  1 P 2.03
Rb14 0.6862 0.3777 0.4322  7 S 3.44-3.57
Rb15 0.3729 0.2720 0.2912  7 S 3.33-3.62, 1 P 3.54
S19 0.4601 0.2156 0.0455  1 P 2.04
S20 0.9359 0.9926 0.1803  1 P 2.04
S21 0.9429 0.2227 0.4665  1 P 2.03
S22 0.0880 0.4561 0.6716  1 P 2.04
S23 0.6859 0.4737 0.9136  1 P 2.05
P8 0.5351 0.5593 0.9309  3 S 2.04-2.05
Rb16 0.3138 0.6223 0.5678  7 S 3.44-3.57
S24 0.1614 0.4254 0.3956  1 P 2.04

Computed properties:
The energy with MP2020 corrections is -4.49 eV per atom. As for the electronic total energy: -203.4 eV for the cell shown. As for the energy of formation from the pure elements: -690.3 kJ/mol of formula units. The total magnetization is 0.00 μB per formula unit. The calculation puts the density at 2.6 Mg/m³.


First-principles (PBE-GGA) data for an optimized crystal structure of Pr3Ge2Ru2, as listed in the Materials Project database.

abc: 5.8082 8.0601 13.7554
angles: 90.00 90.00 90.00
Closest atoms and distances in Å follow each position.
Fractional positions:
Ru1 0.3573 0.9689 0.4100  3 Ge 2.59-2.62
Ge1 0.3855 0.2500 0.0000  4 Ru 2.59-2.62
Pr1 0.8528 0.1033 0.4017  4 Ru 2.92-3.19, 3 Ge 3.15-3.25
Pr2 0.8528 0.3967 0.9017  4 Ru 2.92-3.19, 3 Ge 3.15-3.25
Ru2 0.6427 0.4689 0.4100  3 Ge 2.59-2.62
Ru3 0.3573 0.5311 0.5900  3 Ge 2.59-2.62
Pr3 0.6316 0.7530 0.7500  5 Ge 3.09-3.44, 4 Ru 3.14-3.25
Pr4 0.8528 0.3967 0.5983  4 Ru 2.92-3.19, 3 Ge 3.15-3.25
Ge2 0.6145 0.7500 0.5000  4 Ru 2.59-2.62
Ru4 0.6427 0.0311 0.5900  3 Ge 2.59-2.62
Ge3 0.8571 0.1026 0.7500  2 Ru 2.59
Ge4 0.1429 0.8974 0.2500  2 Ru 2.59
Pr5 0.1472 0.8967 0.9017  4 Ru 2.92-3.19, 3 Ge 3.15-3.25
Ge5 0.8571 0.3974 0.2500  2 Ru 2.59
Ru5 0.6427 0.0311 0.9100  3 Ge 2.59-2.62
Ge6 0.3855 0.2500 0.5000  4 Ru 2.59-2.62
Pr6 0.6316 0.7470 0.2500  5 Ge 3.09-3.44, 4 Ru 3.14-3.25
Ru6 0.6427 0.4689 0.0900  3 Ge 2.59-2.62
Pr7 0.1472 0.8967 0.5983  4 Ru 2.92-3.19, 3 Ge 3.15-3.25
Pr8 0.1472 0.6033 0.4017  4 Ru 2.92-3.19, 3 Ge 3.15-3.25
Pr9 0.3684 0.2530 0.7500  5 Ge 3.09-3.44, 4 Ru 3.14-3.25
Pr10 0.8528 0.1033 0.0983  4 Ru 2.92-3.19, 3 Ge 3.15-3.25
Pr11 0.1472 0.6033 0.0983  4 Ru 2.92-3.19, 3 Ge 3.15-3.25
Pr12 0.3684 0.2470 0.2500  5 Ge 3.09-3.44, 4 Ru 3.14-3.25
Ge7 0.6145 0.7500 0.0000  4 Ru 2.59-2.62
Ge8 0.1429 0.6026 0.7500  2 Ru 2.59
Ru7 0.3573 0.9689 0.0900  3 Ge 2.59-2.62
Ru8 0.3573 0.5311 0.9100  3 Ge 2.59-2.62

Computed properties:
As for the electronic total energy: -185.2 eV for the cell shown. As for the energy of formation from the pure elements: -400.5 kJ/mol of formula units. The calculation puts the density at 7.9 Mg/m³.


First-principles (PBE-GGA) data for an optimized crystal structure of LiSiBiO4, as listed in the Materials Project database.

abc: 5.9667 8.9489 21.1208
angles: 90.00 90.00 90.00
Closest atoms and distances in Å follow each position.
Fractional positions:
Li1 0.6086 0.7548 0.6699  4 O 1.93-2.06
O1 0.0473 0.4352 0.6348  1 Si 1.67
O2 0.8144 0.6620 0.9197  1 Si 1.66
O3 0.7047 0.1691 0.9218  1 Si 1.68
O4 0.3144 0.1620 0.5803  1 Si 1.66
O5 0.7844 0.6645 0.2467  1 Si 1.67
Si1 0.9769 0.9406 0.0791  4 O 1.63-1.68
O6 0.0293 0.4347 0.9723  1 Si 1.65
Li2 0.4299 0.7414 0.8379  4 O 1.96-2.11
O7 0.2844 0.3355 0.7533  1 Si 1.67
O8 0.9428 0.0725 0.8031  1 Si 1.66
Bi1 0.9470 0.9776 0.9064  4 O 2.27-2.34
Li3 0.9185 0.2390 0.9946  3 O 1.90-2.09
Li4 0.4185 0.7610 0.0054  3 O 1.90-2.09
Li5 0.1086 0.2452 0.3301  4 O 1.93-2.06
Si2 0.0093 0.5531 0.2483  4 O 1.63-1.67
Si3 0.9769 0.5594 0.5791  4 O 1.63-1.68
Bi2 0.5287 0.0189 0.7587  4 O 2.25-2.37
Si4 0.4769 0.4406 0.4209  4 O 1.63-1.68
O9 0.5374 0.5400 0.8174  1 Si 1.63
O10 0.0298 0.0396 0.3473  1 Si 1.63
Li6 0.9185 0.2610 0.4946  3 O 1.90-2.09
Li7 0.9299 0.2414 0.6621  4 O 1.96-2.11
O11 0.2439 0.3552 0.4017  1 Si 1.64
O12 0.4589 0.9675 0.9873  1 Si 1.63
O13 0.5293 0.9347 0.5277  1 Si 1.65
O14 0.0473 0.0648 0.1348  1 Si 1.67
Bi3 0.5573 0.4852 0.9231  4 O 2.21-2.33
Bi4 0.4470 0.0224 0.0936  4 O 2.27-2.34
O15 0.5298 0.9604 0.6527  1 Si 1.63
O16 0.5374 0.9600 0.3174  1 Si 1.63
O17 0.3144 0.3380 0.0803  1 Si 1.66
Bi5 0.0287 0.9811 0.2413  4 O 2.25-2.37
Li8 0.1086 0.2548 0.8301  4 O 1.93-2.06
O18 0.7844 0.8355 0.7467  1 Si 1.67
O19 0.5473 0.9352 0.8652  1 Si 1.67
O20 0.7439 0.6448 0.5983  1 Si 1.64
O21 0.7402 0.1442 0.2314  1 Si 1.66
Si5 0.0409 0.5552 0.9133  4 O 1.63-1.67
O22 0.2439 0.1448 0.9017  1 Si 1.64
Li9 0.4185 0.7390 0.5054  3 O 1.90-2.09
Bi6 0.4470 0.4776 0.5936  4 O 2.27-2.34
O23 0.0374 0.4600 0.1826  1 Si 1.63
O24 0.2402 0.8558 0.7686  1 Si 1.66
Li10 0.6086 0.7452 0.1699  4 O 1.93-2.06
O25 0.9589 0.0325 0.0127  1 Si 1.63
O26 0.2047 0.6691 0.5782  1 Si 1.68
O27 0.5298 0.5396 0.1527  1 Si 1.63
O28 0.9428 0.4275 0.3031  1 Si 1.66
O29 0.2759 0.6554 0.9188  1 Si 1.67
O30 0.9589 0.4675 0.5127  1 Si 1.63
Si6 0.4769 0.0594 0.9209  4 O 1.63-1.68
O31 0.2047 0.8309 0.0782  1 Si 1.68
O32 0.5293 0.5653 0.0277  1 Si 1.65
Bi7 0.0287 0.5189 0.7413  4 O 2.25-2.37
Bi8 0.5287 0.4811 0.2587  4 O 2.25-2.37
O33 0.5473 0.5648 0.3652  1 Si 1.67
Si7 0.0093 0.9469 0.7483  4 O 1.63-1.67
Li11 0.9299 0.2586 0.1621  4 O 1.96-2.11
Bi9 0.0573 0.5148 0.0769  4 O 2.21-2.33
Li12 0.4299 0.7586 0.3379  4 O 1.96-2.11
Si8 0.5093 0.4469 0.7517  4 O 1.63-1.67
Si9 0.5409 0.0552 0.5867  4 O 1.63-1.67
Bi10 0.5573 0.0148 0.4231  4 O 2.21-2.33
O34 0.7759 0.1554 0.5812  1 Si 1.67
O35 0.2759 0.8446 0.4188  1 Si 1.67
O36 0.7759 0.3446 0.0812  1 Si 1.67
O37 0.4589 0.5325 0.4873  1 Si 1.63
O38 0.4428 0.5725 0.6969  1 Si 1.66
Bi11 0.9470 0.5224 0.4064  4 O 2.27-2.34
O39 0.7439 0.8552 0.0983  1 Si 1.64
Si10 0.0409 0.9448 0.4133  4 O 1.63-1.67
O40 0.0298 0.4604 0.8473  1 Si 1.63
O41 0.0374 0.0400 0.6826  1 Si 1.63
O42 0.4428 0.9275 0.1969  1 Si 1.66
Si11 0.5409 0.4448 0.0867  4 O 1.63-1.67
O43 0.2402 0.6442 0.2686  1 Si 1.66
Bi12 0.0573 0.9852 0.5769  4 O 2.21-2.33
O44 0.2844 0.1645 0.2533  1 Si 1.67
O45 0.8144 0.8380 0.4197  1 Si 1.66
Si12 0.5093 0.0531 0.2517  4 O 1.63-1.67
O46 0.0293 0.0653 0.4723  1 Si 1.65
O47 0.7402 0.3558 0.7314  1 Si 1.66
O48 0.7047 0.3309 0.4218  1 Si 1.68

Computed properties:
The energy with MP2020 corrections is -6.88 eV per atom. As for the electronic total energy: -545.4 eV for the cell shown. As for the energy of formation from the pure elements: -1657.5 kJ/mol of formula units. The total magnetization is 0.00 μB per formula unit. The calculation puts the density at 5.4 Mg/m³. As for the excess energy over the best structure of this formula in the dataset: 71 meV per atom.


The lowest energy of formation from the pure elements belongs to which entry? LiSiBiO4


Which formula does entry 1 have? NdIn6Cu6


Among the records above, which one has the highest electronic total energy? NdIn6Cu6


electronic total energy of number 1 (NdIn6Cu6)? -47.7 eV for the cell shown